{"formula": "Mg14ZrSi", "functional": "PBE", "state": "relaxed", "lattice": [[10.206, 0.000, 0.000], [0.000, 3.079, 5.564], [0.000, -3.079, 5.564]], "species": ["Mg", "Mg", "Mg", "Mg", "Mg", "Mg", "Mg", "Mg", "Mg", "Mg", "Mg", "Mg", "Mg", "Mg", "Zr", "Si"], "frac_coords": [[0.000, 0.000, 0.000], [0.000, 0.001, 0.499], [0.000, 0.499, 0.001], [0.000, 0.499, 0.499], [0.248, 0.664, 0.664], [0.253, 0.165, 0.668], [0.253, 0.668, 0.165], [0.255, 0.163, 0.163], [0.500, 0.503, 0.998], [0.500, 0.998, 0.503], [0.745, 0.163, 0.163], [0.747, 0.165, 0.668], [0.747, 0.668, 0.165], [0.752, 0.664, 0.664], [0.500, 0.503, 0.503], [0.500, 0.998, 0.998]], "magnetic_moment_mub_per_atom": 0.000, "delta_e_f_ev_per_atom": 0.014}



{"formula": "Mg14ZrSi", "functional": "PBE", "state": "relaxed", "lattice": [[6.290, 0.000, 0.000], [-3.145, 5.447, 0.000], [0.000, 0.000, 10.260]], "species": ["Mg", "Mg", "Mg", "Mg", "Mg", "Mg", "Mg", "Mg", "Mg", "Mg", "Mg", "Mg", "Mg", "Mg", "Zr", "Si"], "frac_coords": [[0.000, 0.000, 0.242], [0.000, 0.000, 0.758], [0.013, 0.507, 0.253], [0.013, 0.507, 0.747], [0.331, 0.165, 0.500], [0.340, 0.170, 0.000], [0.493, 0.507, 0.253], [0.493, 0.507, 0.747], [0.493, 0.987, 0.253], [0.493, 0.987, 0.747], [0.830, 0.170, 0.000], [0.830, 0.660, 0.000], [0.835, 0.165, 0.500], [0.835, 0.669, 0.500], [0.333, 0.667, 0.000], [0.333, 0.667, 0.500]], "magnetic_moment_mub_per_atom": 0.000, "delta_e_f_ev_per_atom": 0.035}



{"formula": "Mg6ZrSi", "functional": "PBE", "state": "relaxed", "lattice": [[4.824, 0.000, 0.000], [0.000, 6.413, 0.000], [0.000, 0.000, 10.848]], "species": ["Mg", "Mg", "Zr", "Mg", "Mg", "Mg", "Mg", "Mg", "Mg", "Mg", "Mg", "Mg", "Zr", "Si", "Mg", "Si"], "frac_coords": [[0.500, 0.255, 0.917], [0.500, 0.000, 0.168], [0.000, 0.000, 0.823], [0.500, 0.745, 0.917], [0.500, 0.500, 0.668], [0.000, 0.248, 0.582], [0.500, 0.245, 0.417], [0.000, 0.748, 0.082], [0.500, 0.755, 0.417], [0.000, 0.752, 0.582], [0.000, 0.000, 0.333], [0.000, 0.252, 0.082], [0.000, 0.500, 0.323], [0.500, 0.000, 0.679], [0.000, 0.500, 0.833], [0.500, 0.500, 0.179]], "magnetic_moment_mub_per_atom": 0.000, "delta_e_f_ev_per_atom": 0.031}



{"formula": "Mg6ZrSi", "functional": "PBE", "state": "relaxed", "lattice": [[-0.337, 4.519, -2.234], [2.216, -2.280, -4.946], [-10.434, -2.516, -3.516]], "species": ["Mg", "Mg", "Mg", "Mg", "Mg", "Mg", "Mg", "Mg", "Mg", "Mg", "Mg", "Mg", "Si", "Si", "Zr", "Zr"], "frac_coords": [[0.000, 0.000, 0.819], [0.000, 0.000, 0.332], [0.000, 0.251, 0.579], [0.500, 0.749, 0.924], [0.500, 0.751, 0.424], [0.000, 0.500, 0.832], [0.500, 0.249, 0.424], [0.000, 0.249, 0.079], [0.000, 0.749, 0.579], [0.000, 0.500, 0.319], [0.500, 0.251, 0.924], [0.000, 0.751, 0.079], [0.500, 0.500, 0.167], [0.500, 0.000, 0.667], [0.500, 0.500, 0.677], [0.500, 0.000, 0.177]], "magnetic_moment_mub_per_atom": 0.000, "delta_e_f_ev_per_atom": 0.025}



{"formula": "SmMg149", "functional": "PBE", "state": "relaxed", "lattice": [[16.011, 0.000, 0.000], [-8.006, 13.866, 0.000], [0.000, 0.000, 15.644]], "species": ["Sm", "Mg", "Mg", "Mg", "Mg", "Mg", "Mg", "Mg", "Mg", "Mg", "Mg", "Mg", "Mg", "Mg", "Mg", "Mg", "Mg", "Mg", "Mg", "Mg", "Mg", "Mg", "Mg", "Mg", "Mg", "Mg", "Mg", "Mg", "Mg", "Mg", "Mg", "Mg", "Mg", "Mg", "Mg", "Mg", "Mg", "Mg", "Mg", "Mg", "Mg", "Mg", "Mg", "Mg", "Mg", "Mg", "Mg", "Mg", "Mg", "Mg", "Mg", "Mg", "Mg", "Mg", "Mg", "Mg", "Mg", "Mg", "Mg", "Mg", "Mg", "Mg", "Mg", "Mg", "Mg", "Mg", "Mg", "Mg", "Mg", "Mg", "Mg", "Mg", "Mg", "Mg", "Mg", "Mg", "Mg", "Mg", "Mg", "Mg", "Mg", "Mg", "Mg", "Mg", "Mg", "Mg", "Mg", "Mg", "Mg", "Mg", "Mg", "Mg", "Mg", "Mg", "Mg", "Mg", "Mg", "Mg", "Mg", "Mg", "Mg", "Mg", "Mg", "Mg", "Mg", "Mg", "Mg", "Mg", "Mg", "Mg", "Mg", "Mg", "Mg", "Mg", "Mg", "Mg", "Mg", "Mg", "Mg", "Mg", "Mg", "Mg", "Mg", "Mg", "Mg", "Mg", "Mg", "Mg", "Mg", "Mg", "Mg", "Mg", "Mg", "Mg", "Mg", "Mg", "Mg", "Mg", "Mg", "Mg", "Mg", "Mg", "Mg", "Mg", "Mg", "Mg", "Mg", "Mg", "Mg", "Mg"], "frac_coords": [[0.000, 0.000, 0.000], [0.000, 0.000, 0.335], [0.000, 0.000, 0.665], [0.000, 0.201, 0.334], [0.000, 0.201, 0.666], [0.000, 0.400, 0.000], [0.000, 0.400, 0.334], [0.000, 0.400, 0.666], [0.000, 0.600, 0.000], [0.000, 0.600, 0.334], [0.000, 0.600, 0.666], [0.000, 0.799, 0.334], [0.000, 0.799, 0.666], [0.003, 0.206, 0.000], [0.003, 0.797, 0.000], [0.066, 0.533, 0.500], [0.067, 0.134, 0.500], [0.067, 0.334, 0.500], [0.067, 0.533, 0.167], [0.067, 0.533, 0.833], [0.067, 0.733, 0.500], [0.067, 0.933, 0.500], [0.068, 0.137, 0.170], [0.068, 0.137, 0.830], [0.068, 0.336, 0.168], [0.068, 0.336, 0.832], [0.068, 0.732, 0.168], [0.068, 0.732, 0.832], [0.068, 0.932, 0.170], [0.068, 0.932, 0.830], [0.200, 0.400, 0.334], [0.200, 0.400, 0.666], [0.200, 0.600, 0.334], [0.200, 0.600, 0.666], [0.200, 0.800, 0.334], [0.200, 0.800, 0.666], [0.201, 0.000, 0.334], [0.201, 0.000, 0.666], [0.201, 0.201, 0.334], [0.201, 0.201, 0.666], [0.201, 0.600, 0.000], [0.202, 0.403, 0.000], [0.202, 0.798, 0.000], [0.203, 0.206, 0.000], [0.203, 0.997, 0.000], [0.264, 0.132, 0.164], [0.264, 0.132, 0.836], [0.267, 0.134, 0.500], [0.267, 0.334, 0.500], [0.267, 0.534, 0.167], [0.267, 0.534, 0.500], [0.267, 0.534, 0.833], [0.267, 0.733, 0.167], [0.267, 0.733, 0.500], [0.267, 0.733, 0.833], [0.267, 0.933, 0.500], [0.268, 0.336, 0.168], [0.268, 0.336, 0.832], [0.268, 0.932, 0.168], [0.268, 0.932, 0.832], [0.400, 0.000, 0.000], [0.400, 0.000, 0.334], [0.400, 0.000, 0.666], [0.400, 0.200, 0.333], [0.400, 0.200, 0.667], [0.400, 0.400, 0.000], [0.400, 0.400, 0.334], [0.400, 0.400, 0.666], [0.400, 0.600, 0.000], [0.400, 0.600, 0.334], [0.400, 0.600, 0.666], [0.400, 0.799, 0.000], [0.400, 0.800, 0.334], [0.400, 0.800, 0.666], [0.401, 0.201, 0.000], [0.466, 0.133, 0.167], [0.466, 0.133, 0.833], [0.466, 0.333, 0.167], [0.466, 0.333, 0.833], [0.466, 0.733, 0.167], [0.466, 0.733, 0.500], [0.466, 0.733, 0.833], [0.467, 0.134, 0.500], [0.467, 0.333, 0.500], [0.467, 0.533, 0.167], [0.467, 0.533, 0.500], [0.467, 0.533, 0.833], [0.467, 0.933, 0.167], [0.467, 0.933, 0.833], [0.467, 0.934, 0.500], [0.597, 0.798, 0.000], [0.600, 0.000, 0.000], [0.600, 0.000, 0.334], [0.600, 0.000, 0.666], [0.600, 0.200, 0.000], [0.600, 0.200, 0.333], [0.600, 0.200, 0.667], [0.600, 0.400, 0.000], [0.600, 0.400, 0.333], [0.600, 0.400, 0.667], [0.600, 0.600, 0.000], [0.600, 0.600, 0.334], [0.600, 0.600, 0.666], [0.600, 0.800, 0.334], [0.600, 0.800, 0.666], [0.664, 0.732, 0.168], [0.664, 0.732, 0.832], [0.664, 0.932, 0.168], [0.664, 0.932, 0.832], [0.666, 0.733, 0.500], [0.666, 0.933, 0.500], [0.667, 0.133, 0.167], [0.667, 0.133, 0.833], [0.667, 0.134, 0.500], [0.667, 0.333, 0.166], [0.667, 0.333, 0.500], [0.667, 0.333, 0.834], [0.667, 0.533, 0.500], [0.667, 0.534, 0.167], [0.667, 0.534, 0.833], [0.794, 0.797, 0.000], [0.794, 0.997, 0.000], [0.799, 0.000, 0.334], [0.799, 0.000, 0.666], [0.799, 0.201, 0.000], [0.799, 0.599, 0.000], [0.799, 0.799, 0.334], [0.799, 0.799, 0.666], [0.800, 0.200, 0.333], [0.800, 0.200, 0.667], [0.800, 0.400, 0.000], [0.800, 0.400, 0.333], [0.800, 0.400, 0.667], [0.800, 0.600, 0.333], [0.800, 0.600, 0.667], [0.863, 0.932, 0.170], [0.863, 0.932, 0.830], [0.866, 0.134, 0.500], [0.866, 0.333, 0.500], [0.866, 0.533, 0.500], [0.866, 0.733, 0.500], [0.866, 0.933, 0.500], [0.867, 0.333, 0.167], [0.867, 0.333, 0.833], [0.867, 0.534, 0.167], [0.867, 0.534, 0.833], [0.868, 0.132, 0.164], [0.868, 0.132, 0.836], [0.868, 0.736, 0.164], [0.868, 0.736, 0.836]], "magnetic_moment_mub_per_atom": 0.000, "delta_e_f_ev_per_atom": -0.025}



{"formula": "Sm3Mg", "functional": "PBE", "state": "relaxed", "lattice": [[4.958, 0.000, 0.000], [0.000, 4.958, 0.000], [0.000, 0.000, 10.049]], "species": ["Sm", "Sm", "Sm", "Sm", "Sm", "Sm", "Mg", "Mg"], "frac_coords": [[0.000, 0.000, 0.000], [0.000, 0.500, 0.250], [0.000, 0.500, 0.750], [0.500, 0.000, 0.250], [0.500, 0.000, 0.750], [0.500, 0.500, 0.500], [0.000, 0.000, 0.500], [0.500, 0.500, 0.000]], "delta_e_f_ev_per_atom": 0.010}



{"formula": "Sm2Mg", "functional": "PBE", "state": "relaxed", "lattice": [[3.802, 0.000, 0.000], [0.000, 3.802, 0.000], [0.000, 0.000, 12.715]], "species": ["Sm", "Sm", "Sm", "Sm", "Mg", "Mg"], "frac_coords": [[0.000, 0.000, 0.157], [0.000, 0.000, 0.843], [0.500, 0.500, 0.343], [0.500, 0.500, 0.657], [0.000, 0.000, 0.500], [0.500, 0.500, 0.000]], "delta_e_f_ev_per_atom": -0.049}



{"formula": "Sm2Mg", "functional": "PBE", "state": "relaxed", "lattice": [[3.771, 0.000, 0.000], [0.000, 17.401, 0.000], [0.000, 0.000, 5.590]], "species": ["Sm", "Sm", "Sm", "Sm", "Sm", "Sm", "Sm", "Sm", "Mg", "Mg", "Mg", "Mg"], "frac_coords": [[0.000, 0.090, 0.250], [0.000, 0.228, 0.750], [0.000, 0.772, 0.250], [0.000, 0.910, 0.750], [0.500, 0.272, 0.250], [0.500, 0.410, 0.750], [0.500, 0.590, 0.250], [0.500, 0.728, 0.750], [0.000, 0.433, 0.250], [0.000, 0.567, 0.750], [0.500, 0.067, 0.750], [0.500, 0.933, 0.250]], "delta_e_f_ev_per_atom": -0.056}



{"formula": "Sm2Mg", "functional": "PBE", "state": "relaxed", "lattice": [[13.575, 0.000, 0.000], [0.000, 3.732, 0.000], [-2.050, 0.000, 7.209]], "species": ["Sm", "Sm", "Sm", "Sm", "Sm", "Sm", "Sm", "Sm", "Mg", "Mg", "Mg", "Mg"], "frac_coords": [[0.153, 0.000, 0.071], [0.164, 0.000, 0.587], [0.336, 0.500, 0.413], [0.347, 0.500, 0.929], [0.653, 0.500, 0.071], [0.664, 0.500, 0.587], [0.836, 0.000, 0.413], [0.847, 0.000, 0.929], [0.004, 0.500, 0.264], [0.496, 0.000, 0.736], [0.504, 0.000, 0.264], [0.996, 0.500, 0.736]], "delta_e_f_ev_per_atom": -0.039}



{"formula": "SmMgTl", "functional": "PBE", "state": "relaxed", "lattice": [[7.679, 0.000, 0.000], [-3.839, 6.650, 0.000], [0.000, 0.000, 4.739]], "species": ["Sm", "Sm", "Sm", "Mg", "Mg", "Mg", "Tl", "Tl", "Tl"], "frac_coords": [[0.000, 0.429, 0.000], [0.429, 0.000, 0.000], [0.571, 0.571, 0.000], [0.000, 0.757, 0.500], [0.243, 0.243, 0.500], [0.757, 0.000, 0.500], [0.000, 0.000, 0.000], [0.333, 0.667, 0.500], [0.667, 0.333, 0.500]], "delta_e_f_ev_per_atom": -0.350}



{"formula": "Sm3Mg13Zn30", "functional": "PBE", "state": "relaxed", "lattice": [[14.642, 0.000, 0.000], [-7.321, 12.681, 0.000], [0.000, 0.000, 8.663]], "species": ["Sm", "Sm", "Sm", "Sm", "Sm", "Sm", "Mg", "Mg", "Mg", "Mg", "Mg", "Mg", "Mg", "Mg", "Mg", "Mg", "Mg", "Mg", "Mg", "Mg", "Mg", "Mg", "Mg", "Mg", "Mg", "Mg", "Mg", "Mg", "Mg", "Mg", "Mg", "Mg", "Zn", "Zn", "Zn", "Zn", "Zn", "Zn", "Zn", "Zn", "Zn", "Zn", "Zn", "Zn", "Zn", "Zn", "Zn", "Zn", "Zn", "Zn", "Zn", "Zn", "Zn", "Zn", "Zn", "Zn", "Zn", "Zn", "Zn", "Zn", "Zn", "Zn", "Zn", "Zn", "Zn", "Zn", "Zn", "Zn", "Zn", "Zn", "Zn", "Zn", "Zn", "Zn", "Zn", "Zn", "Zn", "Zn", "Zn", "Zn", "Zn", "Zn", "Zn", "Zn", "Zn", "Zn", "Zn", "Zn", "Zn", "Zn", "Zn", "Zn"], "frac_coords": [[0.082, 0.541, 0.250], [0.459, 0.541, 0.250], [0.459, 0.918, 0.250], [0.541, 0.082, 0.750], [0.541, 0.459, 0.750], [0.918, 0.459, 0.750], [0.116, 0.232, 0.565], [0.116, 0.232, 0.935], [0.116, 0.884, 0.565], [0.116, 0.884, 0.935], [0.228, 0.456, 0.052], [0.228, 0.456, 0.448], [0.228, 0.772, 0.052], [0.228, 0.772, 0.448], [0.232, 0.116, 0.065], [0.232, 0.116, 0.435], [0.333, 0.667, 0.750], [0.456, 0.228, 0.552], [0.456, 0.228, 0.948], [0.544, 0.772, 0.052], [0.544, 0.772, 0.448], [0.667, 0.333, 0.250], [0.768, 0.884, 0.565], [0.768, 0.884, 0.935], [0.772, 0.228, 0.552], [0.772, 0.228, 0.948], [0.772, 0.544, 0.552], [0.772, 0.544, 0.948], [0.884, 0.116, 0.065], [0.884, 0.116, 0.435], [0.884, 0.768, 0.065], [0.884, 0.768, 0.435], [0.000, 0.000, 0.000], [0.000, 0.000, 0.500], [0.000, 0.359, 0.000], [0.000, 0.359, 0.500], [0.000, 0.641, 0.000], [0.000, 0.641, 0.500], [0.061, 0.123, 0.250], [0.061, 0.939, 0.250], [0.064, 0.303, 0.250], [0.064, 0.761, 0.250], [0.118, 0.409, 0.750], [0.118, 0.710, 0.750], [0.123, 0.061, 0.750], [0.138, 0.569, 0.587], [0.138, 0.569, 0.913], [0.239, 0.303, 0.250], [0.239, 0.936, 0.250], [0.290, 0.409, 0.750], [0.290, 0.882, 0.750], [0.303, 0.064, 0.750], [0.303, 0.239, 0.750], [0.333, 0.667, 0.100], [0.333, 0.667, 0.400], [0.359, 0.000, 0.000], [0.359, 0.000, 0.500], [0.359, 0.359, 0.000], [0.359, 0.359, 0.500], [0.409, 0.118, 0.250], [0.409, 0.290, 0.250], [0.431, 0.569, 0.587], [0.431, 0.569, 0.913], [0.431, 0.862, 0.587], [0.431, 0.862, 0.913], [0.569, 0.138, 0.087], [0.569, 0.138, 0.413], [0.569, 0.431, 0.087], [0.569, 0.431, 0.413], [0.591, 0.710, 0.750], [0.591, 0.882, 0.750], [0.641, 0.000, 0.000], [0.641, 0.000, 0.500], [0.641, 0.641, 0.000], [0.641, 0.641, 0.500], [0.667, 0.333, 0.600], [0.667, 0.333, 0.900], [0.697, 0.761, 0.250], [0.697, 0.936, 0.250], [0.710, 0.118, 0.250], [0.710, 0.591, 0.250], [0.761, 0.064, 0.750], [0.761, 0.697, 0.750], [0.862, 0.431, 0.087], [0.862, 0.431, 0.413], [0.877, 0.939, 0.250], [0.882, 0.290, 0.250], [0.882, 0.591, 0.250], [0.936, 0.239, 0.750], [0.936, 0.697, 0.750], [0.939, 0.061, 0.750], [0.939, 0.877, 0.750]], "magnetic_moment_mub_per_atom": 0.000, "delta_e_f_ev_per_atom": -0.226}



{"formula": "SmMgZn2", "functional": "PBE", "state": "relaxed", "lattice": [[6.932, 0.000, 0.000], [0.000, 6.932, 0.000], [0.000, 0.000, 6.932]], "species": ["Sm", "Sm", "Sm", "Sm", "Mg", "Mg", "Mg", "Mg", "Zn", "Zn", "Zn", "Zn", "Zn", "Zn", "Zn", "Zn"], "frac_coords": [[0.000, 0.000, 0.000], [0.000, 0.500, 0.500], [0.500, 0.000, 0.500], [0.500, 0.500, 0.000], [0.000, 0.000, 0.500], [0.000, 0.500, 0.000], [0.500, 0.000, 0.000], [0.500, 0.500, 0.500], [0.250, 0.250, 0.250], [0.250, 0.250, 0.750], [0.250, 0.750, 0.250], [0.250, 0.750, 0.750], [0.750, 0.250, 0.250], [0.750, 0.250, 0.750], [0.750, 0.750, 0.250], [0.750, 0.750, 0.750]], "delta_e_f_ev_per_atom": -0.351}



{"formula": "Mg3Sn", "functional": "PBE", "state": "relaxed", "lattice": [[3.457, 0.000, 0.000], [0.000, 10.258, 0.000], [0.000, 0.000, 5.324]], "species": ["Mg", "Mg", "Mg", "Mg", "Mg", "Mg", "Sn", "Sn"], "frac_coords": [[0.000, 0.000, 0.000], [0.000, 0.249, 0.339], [0.000, 0.751, 0.339], [0.500, 0.251, 0.839], [0.500, 0.500, 0.500], [0.500, 0.749, 0.839], [0.000, 0.500, 0.003], [0.500, 0.000, 0.503]], "magnetic_moment_mub_per_atom": 0.000, "delta_e_f_ev_per_atom": -0.046}